# 1
# Li6Mn3CoO10

Li6Mn3CoO10 after structural relaxation (PBE+U, the Materials Project database).

a = 7.760 Å, b = 7.760 Å, c = 8.521 Å
α = 106.27°, β = 106.27°, γ = 21.33°
Fractional coordinates of all 20 atoms:
Li 0.000 0.000 0.000
Li 0.001 0.001 0.501
Li 0.194 0.194 0.093
Li 0.403 0.403 0.721
Li 0.598 0.598 0.273
Li 0.808 0.808 0.910
Mn 0.202 0.202 0.602
Mn 0.403 0.403 0.188
Mn 0.598 0.598 0.815
Co 0.801 0.801 0.391
O 0.009 0.009 0.751
O 0.188 0.188 0.851
O 0.211 0.211 0.348
O 0.390 0.390 0.427
O 0.401 0.401 0.972
O 0.600 0.600 0.030
O 0.610 0.610 0.571
O 0.794 0.794 0.647
O 0.813 0.813 0.153
O 0.993 0.993 0.251

Computed properties:
Space group: No. 8

---

# 2
# Li2MnCoO4

Li2MnCoO4 after structural relaxation (PBE+U, the Materials Project database).

a = 5.109 Å, b = 2.917 Å, c = 5.212 Å
α = 90.00°, β = 110.08°, γ = 90.00°
Fractional coordinates of all 8 atoms:
Li 0.000 0.000 0.000
Li 0.000 0.500 0.500
Mn 0.500 0.000 0.500
Co 0.500 0.500 0.000
O 0.270 0.500 0.280
O 0.280 0.000 0.737
O 0.720 0.000 0.263
O 0.730 0.500 0.720

Computed properties:
Space group: No. 10

---

# 3
# Li7Mn2Co3O12

Li7Mn2Co3O12 after structural relaxation (PBE+U, the Materials Project database).

a = 14.650 Å, b = 14.650 Å, c = 5.121 Å
α = 99.09°, β = 99.09°, γ = 11.46°
Fractional coordinates of all 24 atoms:
Li 0.000 0.000 0.000
Li 0.173 0.173 0.829
Li 0.345 0.345 0.668
Li 0.423 0.423 0.083
Li 0.501 0.501 0.502
Li 0.674 0.674 0.334
Li 0.844 0.844 0.157
Mn 0.089 0.089 0.417
Mn 0.256 0.256 0.246
Co 0.588 0.588 0.918
Co 0.757 0.757 0.748
Co 0.923 0.923 0.583
O 0.053 0.053 0.705
O 0.126 0.126 0.130
O 0.218 0.218 0.528
O 0.295 0.295 0.970
O 0.386 0.386 0.393
O 0.461 0.461 0.777
O 0.550 0.550 0.244
O 0.627 0.627 0.591
O 0.718 0.718 0.065
O 0.793 0.793 0.422
O 0.885 0.885 0.833
O 0.959 0.959 0.330

Computed properties:
Space group: No. 8

---

# 4
# Li7Mn4CoO12

Li7Mn4CoO12 after structural relaxation (PBE+U, the Materials Project database).

a = 5.736 Å, b = 5.818 Å, c = 13.543 Å
α = 102.20°, β = 102.22°, γ = 90.02°
Fractional coordinates of all 48 atoms:
Li 0.000 0.000 0.000
Li 0.000 0.000 0.500
Li 0.000 0.500 0.000
Li 0.164 0.664 0.331
Li 0.177 0.671 0.854
Li 0.319 0.326 0.138
Li 0.334 0.336 0.669
Li 0.500 0.000 0.000
Li 0.500 0.000 0.500
Li 0.500 0.500 0.000
Li 0.666 0.664 0.331
Li 0.681 0.674 0.862
Li 0.823 0.329 0.146
Li 0.836 0.336 0.669
Mn 0.165 0.168 0.331
Mn 0.173 0.175 0.846
Mn 0.327 0.825 0.153
Mn 0.334 0.832 0.670
Mn 0.666 0.168 0.330
Mn 0.673 0.175 0.847
Mn 0.827 0.825 0.154
Mn 0.835 0.832 0.669
Co 0.000 0.500 0.500
Co 0.500 0.500 0.500
O 0.082 0.059 0.160
O 0.084 0.608 0.166
O 0.085 0.607 0.670
O 0.090 0.072 0.681
O 0.243 0.245 0.985
O 0.244 0.724 0.497
O 0.248 0.274 0.503
O 0.257 0.754 0.014
O 0.411 0.935 0.322
O 0.418 0.392 0.834
O 0.421 0.941 0.840
O 0.424 0.408 0.348
O 0.576 0.592 0.652
O 0.579 0.059 0.160
O 0.582 0.608 0.166
O 0.589 0.065 0.678
O 0.743 0.246 0.986
O 0.752 0.726 0.497
O 0.756 0.276 0.503
O 0.757 0.755 0.015
O 0.910 0.928 0.319
O 0.915 0.393 0.330
O 0.916 0.392 0.834
O 0.918 0.941 0.840

Computed properties:
Space group: No. 2

---

# 5
# Li7Mn2Co3O12

Li7Mn2Co3O12 after structural relaxation (PBE+U, the Materials Project database).

a = 5.124 Å, b = 5.808 Å, c = 7.752 Å
α = 79.26°, β = 77.67°, γ = 73.55°
Fractional coordinates of all 24 atoms:
Li 0.000 0.000 0.000
Li 0.002 0.164 0.354
Li 0.009 0.665 0.348
Li 0.500 0.665 0.844
Li 0.989 0.340 0.683
Li 0.993 0.510 0.995
Li 0.995 0.826 0.686
Mn 0.501 0.833 0.174
Mn 0.503 0.336 0.175
Co 0.488 0.996 0.528
Co 0.500 0.505 0.522
Co 0.503 0.174 0.839
O 0.260 0.483 0.758
O 0.261 0.007 0.749
O 0.275 0.832 0.413
O 0.278 0.158 0.103
O 0.279 0.657 0.106
O 0.286 0.335 0.416
O 0.716 0.011 0.259
O 0.722 0.848 0.942
O 0.724 0.511 0.249
O 0.727 0.328 0.944
O 0.738 0.666 0.579
O 0.740 0.167 0.597

Computed properties:
Space group: No. 1

---

# 6
# Li4MnCo2O7

Li4MnCo2O7 after structural relaxation (PBE+U, the Materials Project database).

a = 5.186 Å, b = 5.895 Å, c = 8.588 Å
α = 91.84°, β = 94.38°, γ = 109.22°
Fractional coordinates of all 28 atoms:
Li 0.000 0.000 0.000
Li 0.000 0.500 0.000
Li 0.141 0.284 0.285
Li 0.285 0.572 0.571
Li 0.423 0.853 0.859
Li 0.577 0.147 0.141
Li 0.715 0.428 0.429
Li 0.859 0.716 0.715
Mn 0.428 0.356 0.856
Mn 0.572 0.644 0.144
Co 0.143 0.785 0.286
Co 0.285 0.070 0.571
Co 0.715 0.930 0.429
Co 0.857 0.215 0.714
O 0.021 0.768 0.494
O 0.151 0.501 0.787
O 0.162 0.045 0.781
O 0.302 0.804 0.091
O 0.314 0.334 0.066
O 0.407 0.089 0.365
O 0.450 0.621 0.353
O 0.550 0.379 0.647
O 0.593 0.911 0.635
O 0.686 0.666 0.934
O 0.698 0.196 0.909
O 0.838 0.955 0.219
O 0.849 0.499 0.213
O 0.979 0.232 0.506

Computed properties:
Space group: No. 2

---

# 7
# Li7Mn2Co3O12

Li7Mn2Co3O12 after structural relaxation (PBE+U, the Materials Project database).

a = 5.029 Å, b = 5.863 Å, c = 7.757 Å
α = 78.55°, β = 77.58°, γ = 73.10°
Fractional coordinates of all 24 atoms:
Li 0.000 0.000 0.000
Li 0.004 0.333 0.657
Li 0.487 0.841 0.173
Li 0.494 0.166 0.826
Li 0.506 0.499 0.498
Li 0.991 0.677 0.335
Li 0.995 0.168 0.334
Mn 0.498 0.330 0.171
Mn 0.997 0.499 0.002
Co 0.497 0.005 0.495
Co 0.498 0.671 0.827
Co 0.996 0.841 0.660
O 0.218 0.510 0.764
O 0.239 0.643 0.088
O 0.252 0.195 0.080
O 0.258 0.003 0.726
O 0.261 0.849 0.429
O 0.281 0.317 0.407
O 0.715 0.020 0.258
O 0.734 0.147 0.579
O 0.738 0.696 0.572
O 0.743 0.494 0.229
O 0.751 0.340 0.936
O 0.773 0.815 0.916

Computed properties:
Space group: No. 1

---

# 8
# Li2MnCoO4

Li2MnCoO4 after structural relaxation (PBE+U, the Materials Project database).

a = 5.078 Å, b = 3.053 Å, c = 9.863 Å
α = 90.00°, β = 103.11°, γ = 90.00°
Fractional coordinates of all 16 atoms:
Li 0.125 0.250 0.125
Li 0.375 0.750 0.374
Li 0.625 0.250 0.626
Li 0.875 0.750 0.875
Mn 0.124 0.750 0.626
Mn 0.876 0.250 0.374
Co 0.375 0.250 0.877
Co 0.625 0.750 0.123
O 0.019 0.250 0.755
O 0.230 0.250 0.497
O 0.273 0.750 0.001
O 0.476 0.750 0.751
O 0.524 0.250 0.249
O 0.727 0.250 0.999
O 0.770 0.750 0.503
O 0.981 0.750 0.245

Computed properties:
Space group: No. 11

---

Number 1: volume 178.9 Å³ per cell, formation enthalpy at 0 K -2.03 eV per atom, total magnetic moment 10.0 μB per formula unit. Number 2: volume 73.0 Å³ per cell, formation enthalpy at 0 K -1.92 eV per atom, total magnetic moment 0.0 μB per formula unit. Number 3: volume 215.6 Å³ per cell, formation enthalpy at 0 K -1.83 eV per atom, total magnetic moment 14.8 μB per formula unit. Number 4: volume 431.3 Å³ per cell, formation enthalpy at 0 K -2.04 eV per atom, total magnetic moment 14.0 μB per formula unit. Number 5: volume 214.2 Å³ per cell, formation enthalpy at 0 K -1.88 eV per atom, total magnetic moment 18.0 μB per formula unit. Number 6: volume 246.7 Å³ per cell, formation enthalpy at 0 K -1.87 eV per atom, total magnetic moment 5.0 μB per formula unit. Number 7: volume 211.4 Å³ per cell, formation enthalpy at 0 K -1.89 eV per atom, total magnetic moment 10.0 μB per formula unit. Number 8: volume 148.9 Å³ per cell, formation enthalpy at 0 K -1.88 eV per atom, total magnetic moment 4.0 μB per formula unit.